Computed, not measured: a geometry-optimized BaLaNbCrO6 structure at the GGA+U level of DFT.

Geometry as POSCAR:
```
BaLaNbCrO6
1.0
0.000 4.212 4.212
4.212 0.000 4.212
4.212 4.212 0.000
Ba La Nb Cr O
1 1 1 1 6
direct
0.000 0.000 0.000
0.750 0.750 0.750
0.500 0.500 0.500
0.250 0.250 0.250
0.022 0.022 0.478
0.022 0.478 0.022
0.022 0.478 0.478
0.478 0.022 0.022
0.478 0.022 0.478
0.478 0.478 0.022
```

Symmetry   F-43m
ΔH_f (0 K)   -2.099 eV per atom
Total magnetic moment   0.54 μB/f.u.
Energy relative to the lowest polymorph listed for this composition   0.9675 eV per atom


Computed, not measured: a geometry-optimized V4O3F9 structure at the GGA+U level of DFT.

Geometry as POSCAR:
```
V4O3F9
1.0
5.253 0.000 0.000
2.594 4.721 0.000
2.418 -1.079 17.265
V O F
8 6 18
direct
0.000 0.000 0.000
0.008 0.526 0.497
0.240 0.399 0.130
0.273 0.876 0.631
0.531 0.295 0.753
0.541 0.753 0.252
0.768 0.645 0.877
0.777 0.107 0.372
0.318 0.604 0.688
0.676 0.470 0.795
0.695 0.965 0.300
0.840 0.799 0.441
0.863 0.815 0.960
0.886 0.583 0.169
0.183 0.220 0.041
0.197 0.415 0.836
0.197 0.921 0.338
0.208 0.711 0.542
0.224 0.199 0.564
0.242 0.701 0.065
0.315 0.059 0.186
0.338 0.874 0.918
0.347 0.085 0.709
0.362 0.330 0.420
0.376 0.531 0.212
0.682 0.179 0.088
0.696 0.689 0.588
0.743 0.945 0.809
0.749 0.439 0.317
0.791 0.342 0.944
0.847 0.109 0.664
0.853 0.290 0.461
```

Symmetry   P1
ΔH_f (0 K)   -2.953 eV per atom
Energy relative to the lowest polymorph listed for this composition   0.0020 eV per atom


Computed, not measured: a geometry-optimized MnFe3Sb2P6O24 structure at the GGA+U level of DFT.

Geometry as POSCAR:
```
MnFe3Sb2P6O24
1.0
4.353 2.513 7.304
-4.353 2.513 7.304
0.000 -5.027 7.304
Mn Fe Sb P O
1 3 2 6 24
direct
0.000 0.000 0.000
0.203 0.203 0.203
0.501 0.501 0.501
0.703 0.703 0.703
0.352 0.352 0.352
0.851 0.851 0.851
0.102 0.393 0.811
0.312 0.892 0.601
0.393 0.811 0.102
0.601 0.312 0.892
0.811 0.102 0.393
0.892 0.601 0.312
0.051 0.239 0.839
0.085 0.434 0.293
0.120 0.910 0.767
0.154 0.359 0.969
0.239 0.839 0.051
0.269 0.414 0.619
0.293 0.085 0.434
0.346 0.735 0.549
0.359 0.969 0.154
0.414 0.619 0.269
0.434 0.293 0.085
0.469 0.859 0.654
0.549 0.346 0.735
0.586 0.792 0.935
0.619 0.269 0.414
0.654 0.469 0.859
0.735 0.549 0.346
0.767 0.120 0.910
0.792 0.935 0.586
0.839 0.051 0.239
0.859 0.654 0.469
0.910 0.767 0.120
0.935 0.586 0.792
0.969 0.154 0.359
```

Symmetry   R3
ΔH_f (0 K)   -2.312 eV per atom
Total magnetic moment   19.00 μB/f.u.


Computed, not measured: a geometry-optimized K4Na4Mo3W5O20 structure at the GGA+U level of DFT.

Geometry as POSCAR:
```
K4Na4Mo3W5O20
1.0
11.623 0.000 0.000
-0.030 11.766 0.000
-5.759 -5.876 15.514
K Na Mo W O
16 16 12 20 80
direct
0.000 0.000 0.000
0.000 0.501 0.995
0.139 0.135 0.777
0.144 0.642 0.284
0.148 0.143 0.289
0.250 0.266 0.999
0.252 0.767 0.002
0.388 0.408 0.777
0.499 0.498 0.996
0.506 0.000 0.001
0.639 0.637 0.775
0.653 0.640 0.285
0.750 0.266 0.998
0.752 0.774 0.000
0.889 0.413 0.775
0.899 0.420 0.288
0.001 0.991 0.495
0.144 0.641 0.790
0.243 0.277 0.497
0.243 0.778 0.498
0.395 0.919 0.790
0.397 0.424 0.295
0.398 0.924 0.297
0.497 0.492 0.495
0.500 0.991 0.499
0.646 0.142 0.791
0.659 0.148 0.301
0.752 0.777 0.496
0.753 0.271 0.494
0.898 0.918 0.791
0.907 0.922 0.301
0.995 0.493 0.497
0.199 0.454 0.886
0.202 0.949 0.885
0.216 0.959 0.398
0.449 0.202 0.887
0.452 0.704 0.889
0.700 0.451 0.885
0.700 0.956 0.888
0.714 0.456 0.396
0.950 0.705 0.886
0.951 0.201 0.886
0.962 0.713 0.399
0.964 0.207 0.400
0.033 0.796 0.639
0.037 0.295 0.635
0.046 0.808 0.149
0.048 0.301 0.143
0.213 0.461 0.400
0.282 0.620 0.641
0.291 0.105 0.637
0.302 0.615 0.144
0.305 0.111 0.146
0.464 0.209 0.395
0.464 0.710 0.396
0.535 0.804 0.638
0.536 0.288 0.632
0.544 0.299 0.148
0.549 0.817 0.153
0.714 0.962 0.399
0.786 0.615 0.632
0.787 0.107 0.641
0.795 0.111 0.152
0.796 0.619 0.140
0.017 0.792 0.029
0.019 0.298 0.028
0.038 0.818 0.536
0.048 0.320 0.533
0.065 0.319 0.877
0.069 0.823 0.873
0.077 0.590 0.896
0.079 0.079 0.897
0.079 0.829 0.388
0.091 0.339 0.391
0.096 0.096 0.415
0.098 0.592 0.415
0.115 0.641 0.640
0.122 0.141 0.623
0.128 0.414 0.746
0.142 0.662 0.141
0.147 0.161 0.149
0.150 0.406 0.263
0.151 0.902 0.748
0.165 0.913 0.258
0.276 0.002 0.032
0.277 0.505 0.032
0.291 0.504 0.531
0.309 0.987 0.534
0.321 0.823 0.874
0.322 0.317 0.877
0.331 0.591 0.897
0.332 0.081 0.899
0.334 0.331 0.387
0.338 0.584 0.406
0.341 0.818 0.386
0.356 0.099 0.410
0.365 0.250 0.620
0.367 0.766 0.633
0.382 0.101 0.748
0.385 0.612 0.749
0.389 0.277 0.165
0.396 0.611 0.261
0.398 0.781 0.170
0.407 0.113 0.263
0.517 0.292 0.033
0.523 0.793 0.032
0.538 0.313 0.528
0.541 0.805 0.527
0.570 0.828 0.877
0.571 0.320 0.875
0.573 0.320 0.383
0.577 0.830 0.383
0.578 0.083 0.895
0.580 0.593 0.406
0.581 0.582 0.897
0.596 0.094 0.413
0.614 0.647 0.619
0.619 0.137 0.639
0.629 0.919 0.748
0.632 0.401 0.746
0.636 0.663 0.139
0.641 0.156 0.167
0.651 0.935 0.261
0.656 0.411 0.257
0.772 0.018 0.031
0.774 0.504 0.030
0.787 0.483 0.534
0.789 0.988 0.533
0.815 0.318 0.873
0.819 0.826 0.874
0.827 0.083 0.893
0.827 0.584 0.895
0.830 0.831 0.383
0.833 0.318 0.384
0.848 0.093 0.416
0.849 0.603 0.420
0.866 0.778 0.642
0.867 0.246 0.622
0.885 0.097 0.749
0.889 0.620 0.746
0.891 0.252 0.143
0.894 0.786 0.166
0.895 0.621 0.256
0.896 0.098 0.260
```

Symmetry   P1
ΔH_f (0 K)   -1.810 eV per atom
Total magnetic moment   15.89 μB/f.u.


Computed, not measured: a geometry-optimized CaNdCrO4 structure at the GGA+U level of DFT.

Geometry as POSCAR:
```
CaNdCrO4
1.0
2.716 -5.957 0.000
2.716 5.957 0.000
0.000 0.000 5.651
Ca Nd Cr O
2 2 2 8
direct
0.103 0.897 0.500
0.897 0.103 0.000
0.388 0.612 0.538
0.612 0.388 0.038
0.250 0.750 0.022
0.750 0.250 0.522
0.020 0.475 0.268
0.082 0.918 0.086
0.423 0.577 0.955
0.475 0.020 0.768
0.525 0.980 0.268
0.577 0.423 0.455
0.918 0.082 0.586
0.980 0.525 0.768
```

Symmetry   Cmc2_1
ΔH_f (0 K)   -3.142 eV per atom
Total magnetic moment   3.00 μB/f.u.
Energy relative to the lowest polymorph listed for this composition   0.0057 eV per atom


Computed, not measured: a geometry-optimized Li3FeOF4 structure at the GGA+U level of DFT.

Geometry as POSCAR:
```
Li3FeOF4
1.0
3.145 -4.255 -0.284
2.183 5.237 -4.899
1.799 1.540 4.853
O Li F Fe
2 6 8 2
direct
0.695 0.745 0.994
0.195 0.245 0.994
0.451 0.705 0.630
0.473 0.880 0.178
0.510 0.284 0.426
0.010 0.784 0.426
0.951 0.205 0.630
0.973 0.380 0.178
0.227 0.010 0.322
0.215 0.838 0.794
0.772 0.140 0.256
0.727 0.510 0.322
0.283 0.423 0.616
0.715 0.338 0.794
0.272 0.640 0.256
0.783 0.923 0.616
0.491 0.477 0.985
0.991 0.977 0.985
```

ΔH_f (0 K)   -2.761 eV per atom
Total magnetic moment   0.00 μB/f.u.
Largest piezoelectric modulus   24.98 C/m²


Computed, not measured: a geometry-optimized MgFe8O8F8 structure at the GGA+U level of DFT.

Geometry as POSCAR:
```
MgFe8O8F8
1.0
3.083 0.000 0.000
0.042 9.608 0.000
0.049 0.015 9.793
Mg Fe O F
1 8 8 8
direct
0.000 0.000 0.000
0.028 0.740 0.498
0.032 0.736 0.996
0.034 0.272 0.500
0.054 0.276 0.001
0.510 0.995 0.751
0.511 0.007 0.245
0.539 0.473 0.252
0.540 0.471 0.751
0.012 0.894 0.828
0.014 0.108 0.170
0.037 0.393 0.345
0.039 0.392 0.841
0.502 0.127 0.916
0.514 0.875 0.086
0.533 0.348 0.593
0.547 0.360 0.090
0.016 0.899 0.349
0.018 0.099 0.646
0.037 0.594 0.653
0.038 0.597 0.160
0.523 0.143 0.415
0.523 0.857 0.588
0.532 0.640 0.391
0.537 0.633 0.890
```

Symmetry   P1
ΔH_f (0 K)   -2.119 eV per atom
Total magnetic moment   0.01 μB/f.u.
Energy relative to the lowest polymorph listed for this composition   0.0107 eV per atom


Computed, not measured: a geometry-optimized MnCoO3 structure at the GGA+U level of DFT.

Geometry as POSCAR:
```
MnCoO3
1.0
3.006 0.000 0.000
-1.358 5.482 0.000
-0.223 -2.059 6.400
Mn Co O
2 2 6
direct
0.153 0.302 0.321
0.847 0.698 0.679
0.369 0.711 0.157
0.631 0.289 0.843
0.152 0.315 0.040
0.223 0.420 0.634
0.451 0.926 0.708
0.549 0.074 0.292
0.777 0.580 0.366
0.848 0.685 0.960
```

Symmetry   P-1
ΔH_f (0 K)   -1.565 eV per atom
Total magnetic moment   6.00 μB/f.u.


Computed, not measured: a geometry-optimized Rb2TlVF6 structure at the GGA+U level of DFT.

Geometry as POSCAR:
```
Rb2TlVF6
1.0
0.000 4.626 4.626
4.626 0.000 4.626
4.626 4.626 0.000
Rb Tl V F
2 1 1 6
direct
0.250 0.250 0.250
0.750 0.750 0.750
0.000 0.000 0.000
0.500 0.500 0.500
0.288 0.288 0.712
0.288 0.712 0.288
0.288 0.712 0.712
0.712 0.288 0.288
0.712 0.288 0.712
0.712 0.712 0.288
```

Symmetry   Fm-3m
ΔH_f (0 K)   -2.841 eV per atom
Total magnetic moment   2.00 μB/f.u.


Computed, not measured: a geometry-optimized MgFe6O6F6 structure at the GGA+U level of DFT.

Geometry as POSCAR:
```
MgFe6O6F6
1.0
3.126 0.000 0.000
0.002 5.104 0.000
1.549 1.663 14.273
Mg Fe O F
1 6 6 6
direct
0.000 0.000 0.000
0.105 0.018 0.800
0.253 0.122 0.488
0.401 0.115 0.194
0.520 0.507 0.971
0.675 0.503 0.644
0.829 0.616 0.339
0.206 0.382 0.583
0.470 0.158 0.062
0.561 0.869 0.896
0.632 0.202 0.743
0.785 0.275 0.424
0.881 0.936 0.237
0.054 0.317 0.901
0.142 0.705 0.722
0.294 0.808 0.409
0.372 0.442 0.250
0.714 0.883 0.565
0.978 0.640 0.055
```

Symmetry   P1
ΔH_f (0 K)   -2.134 eV per atom
Total magnetic moment   28.02 μB/f.u.
Energy relative to the lowest polymorph listed for this composition   0.0095 eV per atom


Computed, not measured: a geometry-optimized Li2CrFeO4 structure at the GGA+U level of DFT.

Geometry as POSCAR:
```
Li2CrFeO4
1.0
5.153 0.000 0.000
0.861 5.101 0.000
0.002 1.739 5.691
Li Cr Fe O
4 2 2 8
direct
0.000 0.000 0.000
0.000 0.000 0.500
0.499 0.999 0.251
0.501 0.001 0.749
0.250 0.501 0.375
0.750 0.499 0.625
0.250 0.499 0.875
0.750 0.501 0.125
0.120 0.274 0.680
0.123 0.273 0.184
0.377 0.729 0.069
0.381 0.725 0.568
0.619 0.275 0.432
0.623 0.271 0.931
0.877 0.727 0.816
0.880 0.726 0.320
```

Symmetry   P-1
ΔH_f (0 K)   -2.171 eV per atom
Total magnetic moment   8.00 μB/f.u.
Energy relative to the lowest polymorph listed for this composition   0.0062 eV per atom